Entry 1:
4
Lattice="0.000 3.351 3.351 3.351 0.000 3.351 3.351 3.351 0.000" Properties=species:S:1:pos:R:3 comment="LuCdPt2 PBE optimized geometry" space_group="No. 225" e_tot_ev_per_atom=-5.266 pbc="T T T"
Lu 0.000 0.000 0.000
Cd 3.351 3.351 3.351
Pt 1.675 1.675 1.675
Pt 5.026 5.026 5.026



Entry 2:
4
Lattice="1.211 1.781 4.120 -2.457 3.495 1.834 -2.673 -0.744 3.730" Properties=species:S:1:pos:R:3 comment="LuCdRh2 PBE optimized geometry" space_group="No. 225" e_tot_ev_per_atom=-5.677 pbc="T T T"
Lu 0.000 0.000 0.000
Cd -1.960 2.266 4.842
Rh -0.980 1.133 2.421
Rh -2.940 3.399 7.263



Entry 3:
14
Lattice="0.000 5.561 5.561 5.561 0.000 5.561 5.561 5.561 0.000" Properties=species:S:1:pos:R:3 comment="Lu2CdS4 PBE optimized geometry" space_group="No. 227" e_tot_ev_per_atom=-5.459 pbc="T T T"
Lu 4.171 4.171 1.390
Lu 4.171 1.390 4.171
Lu 1.390 4.171 4.171
Lu 1.390 1.390 1.390
Cd 8.342 8.342 8.342
Cd 5.561 5.561 5.561
S 6.855 9.829 6.855
S 7.049 7.049 4.074
S 4.074 4.074 4.074
S 4.074 7.049 7.049
S 9.829 9.829 9.829
S 9.829 6.855 6.855
S 7.049 4.074 7.049
S 6.855 6.855 9.829



Entry 4:
14
Lattice="-7.269 3.159 2.225 -4.821 3.594 -5.623 -6.981 -3.659 -2.380" Properties=species:S:1:pos:R:3 comment="Lu2CdSe4 PBE optimized geometry" space_group="No. 227" e_tot_ev_per_atom=-4.916 pbc="T T T"
Lu -8.285 0.354 -4.724
Lu -9.509 0.137 -0.799
Lu -8.429 3.763 -2.421
Lu -11.920 1.934 -3.611
Cd -4.768 0.774 -1.444
Cd 0.000 0.000 0.000
Se -10.705 2.663 -1.173
Se -9.561 2.866 -4.843
Se -10.570 -0.525 -3.326
Se -7.306 1.185 -2.213
Se -13.134 1.205 -6.049
Se -14.279 1.002 -2.379
Se -13.269 4.393 -3.896
Se -16.533 2.683 -5.008



Entry 5:
8
Lattice="0.000 0.000 -5.140 -3.156 -5.466 0.000 -6.311 0.000 0.000" Properties=species:S:1:pos:R:3 comment="Mg3Cd PBE optimized geometry" space_group="No. 194" e_tot_ev_per_atom=-1.514 pbc="T T T"
Mg -3.156 -3.634 -3.855
Mg -1.587 -0.916 -3.855
Mg -4.725 -0.916 -3.855
Mg -6.311 -1.832 -1.285
Mg -7.881 -4.550 -1.285
Mg -4.742 -4.550 -1.285
Cd -6.311 -3.644 -3.855
Cd -3.156 -1.822 -1.285



Entry 6:
6
Lattice="1.593 5.983 0.000 -1.593 5.983 0.000 0.000 2.068 7.005" Properties=species:S:1:pos:R:3 comment="MgCd2 PBE optimized geometry" space_group="No. 12" e_tot_ev_per_atom=-1.188 pbc="T T T"
Mg 0.000 8.611 3.291
Mg 0.000 5.422 3.714
Cd 0.000 3.937 1.023
Cd 0.000 0.740 1.392
Cd 0.000 13.293 5.612
Cd 0.000 10.096 5.982



Number 1: mass density 14.95 g/cm³, DFT formation energy -869 meV per atom. Number 2: mass density 11.53 g/cm³, DFT formation energy -634 meV per atom. Number 3: mass density 5.70 g/cm³, DFT formation energy -1960 meV per atom. Number 4: mass density 6.55 g/cm³, DFT formation energy -1765 meV per atom. Number 5: mass density 3.47 g/cm³, DFT formation energy -83 meV per atom. Number 6: mass density 6.20 g/cm³, DFT formation energy -39 meV per atom.